1.
! InBr, optimized geometry, DFT PBE-GGA; values from VASP
&SYSTEM
  ibrav = 0, nat = 8, ntyp = 2
/
ATOMIC_SPECIES
In 114.82 In.upf
Br 79.90 Br.upf
ATOMIC_POSITIONS angstrom
In 0.000 1.382 1.173
In 0.000 11.236 3.519
In 2.305 4.927 3.519
In 2.305 7.691 1.173
Br 0.000 4.435 1.173
Br 0.000 8.183 3.519
Br 2.305 1.874 3.519
Br 2.305 10.744 1.173
CELL_PARAMETERS angstrom
4.611 0.000 0.000
0.000 12.618 0.000
0.000 0.000 4.693
! - Crystal system: orthorhombic
! - Uncorrected energy: -2.8659 eV/atom
! - Energy with MP2020 corrections: -3.1329 eV per atom
! - Space group: Cmcm
! - Energy relative to the elements: -939 meV/atom

***

2.
! Al2FeIr, optimized geometry, DFT PBE-GGA; values from VASP
&SYSTEM
  ibrav = 0, nat = 16, ntyp = 3
/
ATOMIC_SPECIES
Al 26.98 Al.upf
Fe 55.84 Fe.upf
Ir 192.22 Ir.upf
ATOMIC_POSITIONS angstrom
Al 1.480 1.480 1.480
Al 1.480 1.480 4.441
Al 1.480 4.441 1.480
Al 1.480 4.441 4.441
Al 4.441 1.480 1.480
Al 4.441 1.480 4.441
Al 4.441 4.441 1.480
Al 4.441 4.441 4.441
Fe 0.000 0.000 0.000
Fe 0.000 2.960 2.960
Fe 2.960 0.000 2.960
Fe 2.960 2.960 0.000
Ir 0.000 0.000 2.960
Ir 0.000 2.960 0.000
Ir 2.960 0.000 0.000
Ir 2.960 2.960 2.960
CELL_PARAMETERS angstrom
5.921 0.000 0.000
0.000 5.921 0.000
0.000 0.000 5.921
! - Crystal system: cubic
! - Uncorrected energy: -6.8807 eV/atom
! - Space group: Fm-3m
! - Energy relative to the elements: -681 meV/atom

***

3.
! K2NdP2S7, optimized geometry, DFT PBE-GGA; values from VASP
&SYSTEM
  ibrav = 0, nat = 48, ntyp = 4
/
ATOMIC_SPECIES
K 39.10 K.upf
Nd 144.24 Nd.upf
P 30.97 P.upf
S 32.06 S.upf
ATOMIC_POSITIONS angstrom
K -0.791 0.295 6.381
K -4.406 3.179 16.463
K -1.262 3.564 9.887
K -4.877 6.860 19.969
K 6.875 0.089 0.195
K 3.261 3.385 10.277
K 6.404 3.770 3.701
K 2.790 6.654 13.782
Nd -1.557 0.229 13.129
Nd 2.057 3.246 3.047
Nd -0.059 3.704 17.116
Nd 3.555 6.721 7.034
P -2.953 0.075 9.190
P -6.568 3.400 19.272
P 1.599 3.562 6.631
P -2.015 6.862 16.712
P 4.014 0.087 3.451
P 0.399 3.388 13.533
P 8.566 3.549 0.891
P 4.952 6.875 10.973
S -3.916 1.616 12.066
S -0.302 1.859 1.984
S 0.006 5.149 1.958
S -3.608 5.275 12.040
S -3.477 0.177 15.296
S 0.137 3.298 5.214
S -1.099 0.254 9.961
S -4.713 3.221 20.043
S 2.262 0.549 4.451
S -1.352 2.926 14.532
S 1.208 5.155 7.856
S -2.406 5.270 17.938
S -1.897 1.556 17.933
S 1.718 1.919 7.851
S 0.281 5.031 12.313
S 3.895 5.393 2.231
S 4.404 1.680 2.226
S 0.790 1.795 12.308
S 3.350 4.024 5.631
S -0.264 6.401 15.713
S 6.711 3.729 0.121
S 3.097 6.696 10.203
S 1.861 3.652 14.950
S 5.475 6.773 4.868
S 5.607 1.674 8.124
S 1.992 1.801 18.206
S 2.301 5.091 18.180
S 5.915 5.333 8.098
CELL_PARAMETERS angstrom
9.227 0.000 0.000
0.000 6.950 0.000
-7.229 0.000 20.164
! - Crystal system: monoclinic
! - Uncorrected energy: -4.9318 eV/atom
! - Energy with MP2020 corrections: -5.2252 eV per atom
! - Space group: P2_1/c
! - Energy relative to the elements: -1328 meV/atom

***

4.
! GdSI, optimized geometry, DFT PBE-GGA; values from VASP
&SYSTEM
  ibrav = 0, nat = 9, ntyp = 3
/
ATOMIC_SPECIES
Gd 157.25 Gd.upf
S 32.06 S.upf
I 126.90 I.upf
ATOMIC_POSITIONS angstrom
Gd -2.318 4.103 0.000
Gd 2.318 4.103 0.000
Gd 0.000 8.118 0.000
S 2.787 1.609 0.000
S 6.637 1.609 0.000
S 4.712 4.943 0.000
I 0.000 3.089 2.221
I -2.037 6.617 2.221
I 2.037 6.617 2.221
CELL_PARAMETERS angstrom
9.424 0.000 0.000
-4.712 8.162 0.000
0.000 0.000 4.441
! - Crystal system: hexagonal
! - Uncorrected energy: -7.8982 eV/atom
! - Energy with MP2020 corrections: -8.1922 eV per atom
! - Space group: P-6m2
! - Excess energy over the best structure of this formula in the dataset: 503 meV per atom
! - Energy relative to the elements: -1613 meV/atom

***

5.
! Mg16Al12Tl, optimized geometry, DFT PBE-GGA; values from VASP
&SYSTEM
  ibrav = 0, nat = 29, ntyp = 3
/
ATOMIC_SPECIES
Mg 24.30 Mg.upf
Al 26.98 Al.upf
Tl 204.38 Tl.upf
ATOMIC_POSITIONS angstrom
Mg 3.460 3.460 -3.460
Mg 5.741 1.510 -1.510
Mg 3.460 -3.460 3.460
Mg 5.741 -1.510 1.510
Mg 4.844 1.510 1.510
Mg 3.783 3.783 -0.449
Mg 3.783 -0.449 3.783
Mg 1.832 1.832 1.832
Mg 1.510 5.741 -1.510
Mg 1.510 -1.510 5.741
Mg 1.510 4.844 1.510
Mg 1.510 1.510 4.844
Mg -3.460 3.460 3.460
Mg -1.510 5.741 1.510
Mg -1.510 1.510 5.741
Mg -0.449 3.783 3.783
Al -2.331 6.268 4.317
Al -2.331 4.317 6.268
Al 7.624 0.975 0.975
Al 6.268 -2.331 4.317
Al 6.268 4.317 -2.331
Al -0.975 2.962 0.975
Al -0.975 0.975 2.962
Al 4.317 4.317 2.331
Al 4.317 2.331 4.317
Al 0.975 7.624 0.975
Al 0.975 0.975 7.624
Al 2.331 4.317 4.317
Tl 0.000 0.000 0.000
CELL_PARAMETERS angstrom
-5.293 5.293 5.293
5.293 -5.293 5.293
5.293 5.293 -5.293
! - Crystal system: cubic
! - Uncorrected energy: -2.5229 eV/atom
! - Space group: I-43m
! - Excess energy over the best structure of this formula in the dataset: 7 meV per atom
! - Energy relative to the elements: -9 meV/atom

***

6.
! Si3PH27C9BrN2, optimized geometry, DFT PBE-GGA; values from VASP
&SYSTEM
  ibrav = 0, nat = 86, ntyp = 6
/
ATOMIC_SPECIES
Si 28.09 Si.upf
P 30.97 P.upf
H 1.01 H.upf
C 12.01 C.upf
Br 79.90 Br.upf
N 14.01 N.upf
ATOMIC_POSITIONS angstrom
Si 1.698 0.945 2.526
Si 5.706 6.326 9.423
Si 3.766 2.771 4.102
Si 11.796 8.307 8.193
Si 9.857 4.753 2.872
Si 13.865 10.133 9.769
P 2.890 3.784 0.768
P 12.672 7.294 11.527
H 3.216 5.034 5.051
H 2.444 2.367 10.264
H 2.630 2.363 6.298
H 5.270 6.873 6.999
H 6.043 8.591 4.831
H 4.262 5.196 3.617
H 4.202 4.420 8.717
H 6.833 9.339 10.745
H 7.024 9.782 9.027
H 2.335 0.947 0.089
H 6.480 7.968 7.699
H 6.027 7.401 3.516
H 4.865 4.150 10.341
H 4.938 4.632 5.159
H 6.483 7.986 0.698
H 7.801 9.526 5.718
H 4.386 2.123 6.389
H 7.561 8.137 4.014
H 6.923 6.296 7.295
H 5.904 3.937 8.921
H 8.014 8.813 1.078
H 7.769 7.292 10.507
H 7.145 5.920 11.447
H 5.523 2.556 2.342
H 9.361 8.839 8.340
H 7.993 5.631 9.920
H 5.251 0.990 3.128
H 10.311 10.088 9.167
H 7.569 5.447 2.375
H 6.201 2.240 3.955
H 10.039 8.523 9.953
H 8.417 5.158 0.848
H 7.794 3.787 1.788
H 7.548 2.265 11.217
H 9.658 7.141 3.374
H 8.639 4.783 5.000
H 8.002 2.942 8.281
H 11.177 8.955 5.906
H 7.761 1.553 6.577
H 9.079 3.092 11.597
H 10.624 6.446 7.136
H 10.698 6.928 1.954
H 9.535 3.677 8.779
H 9.082 3.110 4.596
H 13.228 10.131 12.206
H 8.538 1.297 3.268
H 8.729 1.739 1.550
H 11.360 6.658 3.578
H 11.300 5.882 8.678
H 9.520 2.487 7.464
H 10.292 4.205 5.296
H 12.932 8.715 5.997
H 13.118 8.712 2.031
H 12.347 6.044 7.244
C 6.523 10.048 9.968
C 4.054 4.584 4.502
C 6.492 8.339 3.862
C 6.117 6.933 7.694
C 3.494 1.934 5.770
C 5.092 4.551 9.344
C 2.487 0.284 0.949
C 7.289 6.308 10.430
C 5.325 2.072 3.310
C 10.237 9.006 8.985
C 8.273 4.770 1.865
C 13.075 10.795 11.346
C 10.470 6.528 2.951
C 12.068 9.145 6.525
C 9.445 4.145 4.601
C 9.070 2.740 8.433
C 11.508 6.494 7.793
C 9.040 1.030 2.327
Br 4.222 5.732 1.010
Br 11.341 5.347 11.285
N 4.427 7.418 10.130
N 2.362 2.533 3.017
N 13.200 8.545 9.278
N 11.135 3.661 2.165
CELL_PARAMETERS angstrom
9.205 0.000 0.000
4.444 8.677 0.000
1.913 2.402 12.295
! - Crystal system: triclinic
! - Uncorrected energy: -5.2017 eV/atom
! - Energy with MP2020 corrections: -5.2185 eV per atom
! - Space group: P-1
! - Energy relative to the elements: -226 meV/atom

***

7.
! Nd3Ti3Se2O8, optimized geometry, DFT PBE-GGA; values from VASP
&SYSTEM
  ibrav = 0, nat = 32, ntyp = 4
/
ATOMIC_SPECIES
Nd 144.24 Nd.upf
Ti 47.87 Ti.upf
Se 78.96 Se.upf
O 16.00 O.upf
ATOMIC_POSITIONS angstrom
Nd 0.319 0.987 2.060
Nd -1.097 0.987 7.479
Nd -1.187 0.987 11.624
Nd 6.230 2.960 1.080
Nd 6.139 2.960 5.226
Nd 4.724 2.960 10.644
Ti 0.163 2.960 5.072
Ti 0.749 2.960 9.759
Ti 2.513 0.987 5.233
Ti 2.529 2.960 7.471
Ti 4.294 0.987 2.945
Ti 4.879 0.987 7.632
Se -2.286 2.960 9.497
Se 1.691 2.960 0.214
Se 3.352 0.987 12.490
Se 7.329 0.987 3.207
O -1.473 2.960 5.970
O 0.086 2.960 3.275
O 0.424 0.987 5.436
O 0.600 2.960 7.728
O 2.492 0.987 3.217
O 0.290 0.987 9.675
O 2.155 2.960 5.419
O 0.248 2.960 11.616
O 4.794 0.987 1.088
O 2.887 0.987 7.285
O 4.752 2.960 3.029
O 2.551 2.960 9.487
O 4.442 0.987 4.976
O 4.619 2.960 7.268
O 4.956 0.987 9.429
O 6.516 0.987 6.734
CELL_PARAMETERS angstrom
9.933 0.000 0.000
0.000 3.946 0.000
-4.890 0.000 12.704
! - Crystal system: monoclinic
! - Uncorrected energy: -8.2337 eV/atom
! - Energy with MP2020 corrections: -8.5772 eV per atom
! - Space group: P2_1/m
! - Energy relative to the elements: -3292 meV/atom

***

8.
! Sr6La14Mg7Ti13O60, optimized geometry, DFT PBE-GGA; values from VASP
&SYSTEM
  ibrav = 0, nat = 100, ntyp = 5
/
ATOMIC_SPECIES
Sr 87.62 Sr.upf
La 138.91 La.upf
Mg 24.30 Mg.upf
Ti 47.87 Ti.upf
O 16.00 O.upf
ATOMIC_POSITIONS angstrom
Sr 0.000 0.000 0.000
Sr 5.608 0.012 7.939
Sr 2.796 2.768 7.898
Sr 2.835 2.787 39.551
Sr 2.823 2.773 15.722
Sr 5.457 5.561 11.672
La 0.067 0.034 15.749
La 0.118 0.066 31.498
La 0.112 0.067 23.593
La 2.648 2.814 35.467
La 2.649 2.778 27.534
La 2.630 2.789 3.801
La 2.648 2.784 19.614
La 2.647 2.803 11.608
La 2.843 2.818 31.495
La 2.837 2.820 23.579
La 5.375 5.533 27.542
La 5.375 5.537 19.633
La 5.430 5.570 35.458
La 5.406 5.537 3.805
Mg 2.755 5.608 25.597
Mg 2.729 5.594 1.870
Mg 2.745 5.609 17.705
Mg 2.763 5.609 29.547
Mg 2.744 5.598 9.788
Mg 2.770 5.609 33.491
Mg 2.760 5.610 21.648
Ti 2.703 5.589 5.878
Ti 2.735 5.626 37.523
Ti 2.775 5.543 13.731
Ti 5.499 2.743 5.902
Ti 5.528 2.778 37.542
Ti 5.524 2.762 9.775
Ti 5.548 2.808 33.498
Ti 5.523 2.731 1.896
Ti 5.539 2.775 17.637
Ti 5.548 2.799 29.510
Ti 5.542 2.797 21.599
Ti 5.545 2.803 25.552
Ti 5.558 2.747 13.700
O 1.177 4.254 25.994
O 1.178 4.257 29.206
O 1.177 4.252 21.298
O 1.179 4.254 18.042
O 1.198 4.262 33.902
O 1.191 4.233 2.211
O 1.245 4.179 10.073
O 1.283 4.289 37.089
O 1.268 4.244 13.451
O 1.259 4.266 5.442
O 1.350 1.466 14.055
O 1.358 1.520 17.396
O 1.365 1.521 9.568
O 1.365 1.525 1.631
O 1.410 1.565 29.947
O 1.401 1.562 22.037
O 1.411 1.572 25.256
O 1.396 1.473 6.053
O 1.421 1.570 33.189
O 1.432 1.494 37.700
O 2.616 5.092 31.531
O 2.610 5.091 23.631
O 2.639 5.255 15.634
O 2.726 5.259 39.329
O 2.701 5.249 7.682
O 2.756 0.432 11.879
O 2.809 0.424 3.915
O 2.838 0.451 35.546
O 2.877 0.507 27.582
O 2.874 0.512 19.685
O 4.030 4.097 13.446
O 4.078 4.026 29.208
O 4.069 4.023 21.302
O 4.082 4.034 25.990
O 4.087 4.049 33.903
O 4.067 4.038 10.089
O 4.097 4.127 37.094
O 4.066 4.104 5.445
O 4.086 4.048 18.061
O 4.078 4.058 2.214
O 4.252 1.342 37.710
O 4.231 1.321 6.065
O 4.233 1.375 9.559
O 4.253 1.297 14.076
O 4.246 1.348 1.634
O 4.312 1.341 33.192
O 4.313 1.345 29.952
O 4.310 1.344 25.256
O 4.311 1.342 22.045
O 4.313 1.313 17.377
O 5.484 3.290 31.564
O 5.477 3.293 23.651
O 5.491 3.255 15.706
O 5.489 3.159 7.734
O 5.521 3.181 39.376
O 5.575 2.437 11.826
O 5.580 2.357 3.859
O 5.597 2.322 19.695
O 5.617 2.355 35.504
O 5.614 2.306 27.605
CELL_PARAMETERS angstrom
5.603 0.000 0.000
0.028 5.619 0.000
0.037 0.031 39.560
! - Crystal system: triclinic
! - Uncorrected energy: -8.1149 eV/atom
! - Energy with MP2020 corrections: -8.5271 eV per atom
! - Space group: P1
! - Energy relative to the elements: -3627 meV/atom

***

9.
! BaSrSmSeO6, optimized geometry, DFT PBE-GGA; values from VASP
&SYSTEM
  ibrav = 0, nat = 20, ntyp = 5
/
ATOMIC_SPECIES
Ba 137.33 Ba.upf
Sr 87.62 Sr.upf
Sm 150.36 Sm.upf
Se 78.96 Se.upf
O 16.00 O.upf
ATOMIC_POSITIONS angstrom
Ba 0.013 0.083 2.084
Ba 5.866 5.825 6.329
Sr 2.928 3.131 2.090
Sr 2.952 2.777 6.323
Sm -0.039 2.954 4.207
Sm 2.979 0.000 0.000
Se -0.013 2.983 0.000
Se 2.953 -0.029 4.207
O 0.322 2.917 6.447
O 1.239 4.504 0.225
O 1.443 4.706 4.032
O 1.545 1.751 0.290
O 1.759 1.503 3.951
O 2.683 0.090 6.117
O 3.196 5.818 2.296
O 4.121 4.405 4.463
O 4.335 4.157 8.124
O 4.436 1.202 4.381
O 4.640 1.404 8.189
O 5.558 2.991 1.967
CELL_PARAMETERS angstrom
5.958 0.000 0.000
-0.026 5.965 0.000
-0.053 -0.057 8.414
! - Crystal system: triclinic
! - Uncorrected energy: -6.3656 eV/atom
! - Energy with MP2020 corrections: -6.7778 eV per atom
! - Space group: P-1
! - Excess energy over the best structure of this formula in the dataset: 4 meV per atom
! - Energy relative to the elements: -2627 meV/atom

***

10.
! Sm4In21Pd10, optimized geometry, DFT PBE-GGA; values from VASP
&SYSTEM
  ibrav = 0, nat = 35, ntyp = 3
/
ATOMIC_SPECIES
Sm 150.36 Sm.upf
In 114.82 In.upf
Pd 106.42 Pd.upf
ATOMIC_POSITIONS angstrom
Sm -0.384 0.000 4.839
Sm -2.665 0.000 12.059
Sm 16.252 0.000 2.511
Sm 13.971 0.000 9.731
In -0.641 0.000 1.371
In -6.246 0.000 11.610
In -2.651 0.000 8.023
In 4.668 0.000 0.068
In 2.997 0.000 4.285
In 2.122 0.000 7.284
In 0.810 0.000 11.656
In 6.070 0.000 4.302
In 9.243 0.000 0.063
In 4.518 0.000 9.221
In 6.793 0.000 7.285
In 9.069 0.000 5.349
In 4.344 0.000 14.507
In 7.517 0.000 10.268
In 12.777 0.000 2.914
In 11.465 0.000 7.286
In 10.590 0.000 10.285
In 8.919 0.000 14.502
In 16.238 0.000 6.547
In 19.833 0.000 2.960
In 14.228 0.000 13.199
Pd -5.347 0.000 8.918
Pd 2.203 0.000 1.564
Pd -0.123 0.000 8.961
Pd 6.955 0.000 1.673
Pd 3.611 0.000 11.836
Pd 9.976 0.000 2.734
Pd 6.632 0.000 12.897
Pd 13.710 0.000 5.609
Pd 11.384 0.000 13.005
Pd 18.934 0.000 5.652
CELL_PARAMETERS angstrom
11.642 -2.254 0.000
11.642 2.254 0.000
-9.698 0.000 14.570
! - Crystal system: monoclinic
! - Uncorrected energy: -4.1930 eV/atom
! - Space group: C2/m
! - Excess energy over the best structure of this formula in the dataset: 0 meV per atom
! - Energy relative to the elements: -523 meV/atom